{
  "formula": "KNa2Ga3Si3O12",
  "functional": "PBE",
  "state": "relaxed",
  "cell": [[8.4114, 0.0000, 0.0000], [0.0000, 8.8621, 0.0000], [0.0000, 8.8079, 15.5631]],
  "species": ["K", "K", "K", "K", "Na", "Na", "Na", "Na", "Na", "Na", "Na", "Na", "Ga", "Ga", "Ga", "Ga", "Ga", "Ga", "Ga", "Ga", "Ga", "Ga", "Ga", "Ga", "Si", "Si", "Si", "Si", "Si", "Si", "Si", "Si", "Si", "Si", "Si", "Si", "O", "O", "O", "O", "O", "O", "O", "O", "O", "O", "O", "O", "O", "O", "O", "O", "O", "O", "O", "O", "O", "O", "O", "O", "O", "O", "O", "O", "O", "O", "O", "O", "O", "O", "O", "O", "O", "O", "O", "O", "O", "O", "O", "O", "O", "O", "O", "O"],
  "fractional_positions": [[0.9981, 0.4993, 0.7508], [0.0019, 0.5007, 0.2492], [0.4981, 0.5007, 0.7492], [0.5019, 0.4993, 0.2508], [0.0294, 0.7890, 0.9360], [0.9706, 0.2110, 0.0640], [0.5294, 0.2110, 0.5640], [0.4706, 0.7890, 0.4360], [0.4679, 0.8591, 0.9095], [0.5321, 0.1409, 0.0905], [0.9679, 0.1409, 0.5905], [0.0321, 0.8591, 0.4095], [0.2843, 0.8481, 0.5925], [0.7157, 0.1519, 0.4075], [0.7843, 0.1519, 0.9075], [0.2157, 0.8481, 0.0925], [0.7853, 0.8147, 0.7652], [0.2147, 0.1853, 0.2348], [0.2853, 0.1853, 0.7348], [0.7147, 0.8147, 0.2652], [0.2869, 0.4701, 0.9221], [0.7131, 0.5299, 0.0779], [0.7869, 0.5299, 0.5779], [0.2131, 0.4701, 0.4221], [0.1708, 0.5273, 0.5769], [0.8292, 0.4727, 0.4231], [0.6708, 0.4727, 0.9231], [0.3292, 0.5273, 0.0769], [0.1696, 0.8164, 0.7655], [0.8304, 0.1836, 0.2345], [0.6696, 0.1836, 0.7345], [0.3304, 0.8164, 0.2655], [0.6699, 0.8504, 0.5899], [0.3301, 0.1496, 0.4101], [0.1699, 0.1496, 0.9101], [0.8301, 0.8504, 0.0899], [0.7658, 0.7494, 0.6815], [0.2342, 0.2506, 0.3185], [0.2658, 0.2506, 0.8185], [0.7342, 0.7494, 0.1815], [0.9922, 0.6148, 0.5525], [0.0078, 0.3852, 0.4475], [0.4922, 0.3852, 0.9475], [0.5078, 0.6148, 0.0525], [0.1552, 0.2806, 0.9510], [0.8448, 0.7194, 0.0490], [0.6552, 0.7194, 0.5490], [0.3448, 0.2806, 0.4510], [0.9907, 0.7676, 0.8087], [0.0093, 0.2324, 0.1913], [0.4907, 0.2324, 0.6913], [0.5093, 0.7676, 0.3087], [0.2539, 0.9487, 0.7929], [0.7461, 0.0513, 0.2071], [0.7539, 0.0513, 0.7071], [0.2461, 0.9487, 0.2929], [0.4909, 0.9017, 0.6078], [0.5091, 0.0983, 0.3922], [0.9909, 0.0983, 0.8922], [0.0091, 0.9017, 0.1078], [0.1558, 0.3156, 0.6411], [0.8442, 0.6844, 0.3589], [0.6558, 0.6844, 0.8589], [0.3442, 0.3156, 0.1411], [0.2673, 0.6143, 0.6263], [0.7327, 0.3857, 0.3737], [0.7673, 0.3857, 0.8737], [0.2327, 0.6143, 0.1263], [0.2639, 0.9679, 0.9761], [0.7361, 0.0321, 0.0239], [0.7639, 0.0321, 0.5239], [0.2361, 0.9679, 0.4761], [0.1549, 0.9022, 0.6602], [0.8451, 0.0978, 0.3398], [0.6549, 0.0978, 0.8398], [0.3451, 0.9022, 0.1602], [0.2356, 0.5746, 0.9869], [0.7644, 0.4254, 0.0131], [0.7356, 0.4254, 0.5131], [0.2644, 0.5746, 0.4869], [0.2707, 0.6337, 0.8065], [0.7293, 0.3663, 0.1935], [0.7707, 0.3663, 0.6935], [0.2293, 0.6337, 0.3065]],
  "energy_mp2020_ev_per_atom": -6.947,
  "delta_e_f_ev_per_fu": -57.40,
  "space_group": "P2_1/c"
}